*i*
Here is an optimized crystal structure of BaB4O7 from the Materials Project. Energies are from PBE.

The structure in POSCAR format:
```
BaB4O7
1.0
4.348 0.000 0.000
0.000 9.098 0.000
0.000 0.000 11.107
O B Ba
28 16 4
direct
0.206 0.936 0.896
0.706 0.564 0.104
0.706 0.564 0.396
0.294 0.436 0.604
0.879 0.804 0.462
0.379 0.696 0.538
0.124 0.390 0.394
0.785 0.867 0.250
0.624 0.110 0.894
0.124 0.390 0.106
0.879 0.804 0.038
0.121 0.196 0.538
0.294 0.436 0.896
0.379 0.696 0.962
0.794 0.064 0.104
0.206 0.936 0.604
0.621 0.304 0.038
0.215 0.133 0.750
0.715 0.367 0.250
0.285 0.633 0.750
0.121 0.196 0.962
0.376 0.890 0.106
0.876 0.610 0.894
0.621 0.304 0.462
0.876 0.610 0.606
0.376 0.890 0.394
0.624 0.110 0.606
0.794 0.064 0.396
0.294 0.089 0.626
0.223 0.842 0.501
0.706 0.911 0.126
0.777 0.158 0.499
0.794 0.411 0.126
0.206 0.589 0.874
0.294 0.089 0.874
0.723 0.658 0.499
0.223 0.842 0.999
0.723 0.658 0.001
0.277 0.342 0.501
0.706 0.911 0.374
0.277 0.342 0.999
0.206 0.589 0.626
0.794 0.411 0.374
0.777 0.158 0.001
0.231 0.647 0.250
0.731 0.853 0.750
0.769 0.353 0.750
0.269 0.147 0.250
```

* total magnetic moment: 0.000 μB per atom
* calculated volume: 9.2 Å³/atom

*ii*
Here is an optimized crystal structure of BaB4O7 from the Materials Project. Energies are from PBE.

The structure in POSCAR format:
```
BaB4O7
1.0
8.365 0.000 0.000
0.000 10.738 0.000
0.000 3.420 12.726
O B Ba
56 32 8
direct
0.525 0.337 0.161
0.751 0.258 0.098
0.317 0.282 0.289
0.354 0.507 0.198
0.146 0.507 0.698
0.246 0.361 0.105
0.901 0.819 0.789
0.992 0.833 0.428
0.725 0.948 0.657
0.889 0.109 0.014
0.303 0.032 0.023
0.746 0.639 0.395
0.508 0.833 0.928
0.306 0.683 0.593
0.099 0.181 0.211
0.018 0.302 0.033
0.225 0.052 0.843
0.401 0.181 0.711
0.492 0.167 0.072
0.008 0.167 0.572
0.434 0.612 0.026
0.254 0.361 0.605
0.585 0.796 0.111
0.694 0.317 0.407
0.599 0.819 0.289
0.854 0.493 0.302
0.975 0.337 0.661
0.754 0.639 0.895
0.934 0.388 0.474
0.749 0.258 0.598
0.251 0.742 0.402
0.085 0.204 0.389
0.646 0.493 0.802
0.775 0.948 0.157
0.806 0.317 0.907
0.194 0.683 0.093
0.697 0.968 0.977
0.817 0.718 0.211
0.482 0.302 0.533
0.275 0.052 0.343
0.566 0.388 0.974
0.982 0.698 0.967
0.197 0.032 0.523
0.415 0.204 0.889
0.803 0.968 0.477
0.915 0.796 0.611
0.183 0.282 0.789
0.066 0.612 0.526
0.518 0.698 0.467
0.025 0.663 0.339
0.249 0.742 0.902
0.111 0.891 0.986
0.389 0.891 0.486
0.611 0.109 0.514
0.683 0.718 0.711
0.475 0.663 0.839
0.637 0.246 0.516
0.418 0.712 0.926
0.693 0.817 0.194
0.863 0.246 0.016
0.307 0.183 0.806
0.325 0.603 0.106
0.362 0.367 0.187
0.582 0.288 0.074
0.825 0.397 0.394
0.175 0.603 0.606
0.716 0.010 0.552
0.284 0.990 0.448
0.918 0.288 0.574
0.617 0.722 0.381
0.592 0.862 0.007
0.883 0.722 0.881
0.383 0.278 0.619
0.638 0.633 0.813
0.216 0.990 0.948
0.862 0.633 0.313
0.137 0.754 0.984
0.117 0.278 0.119
0.363 0.754 0.484
0.138 0.367 0.687
0.408 0.138 0.993
0.908 0.862 0.507
0.807 0.817 0.694
0.193 0.183 0.306
0.784 0.010 0.052
0.092 0.138 0.493
0.675 0.397 0.894
0.082 0.712 0.426
0.618 0.108 0.296
0.737 0.538 0.106
0.263 0.462 0.894
0.382 0.892 0.704
0.118 0.892 0.204
0.882 0.108 0.796
0.237 0.462 0.394
0.763 0.538 0.606
```

* calculated volume: 11.9 Å³/atom

Ordering by calculated energy gives the sequence *ii*, *i*, with the first entry being the most stable.

*i*
Here is an optimized crystal structure of KBe2B3O7 from the Materials Project. Energies are from PBE.

The structure in POSCAR format:
```
KBe2B3O7
1.0
4.531 5.245 0.000
-4.531 5.245 0.000
0.000 2.760 6.056
B O Be K
6 14 4 2
direct
0.551 0.449 0.750
0.268 0.230 0.817
0.732 0.770 0.183
0.230 0.268 0.317
0.449 0.551 0.250
0.770 0.732 0.683
0.944 0.614 0.615
0.919 0.778 0.198
0.778 0.919 0.698
0.703 0.297 0.750
0.581 0.647 0.736
0.056 0.386 0.385
0.614 0.944 0.115
0.647 0.581 0.236
0.386 0.056 0.885
0.419 0.353 0.264
0.081 0.222 0.802
0.222 0.081 0.302
0.297 0.703 0.250
0.353 0.419 0.764
0.055 0.636 0.343
0.364 0.945 0.157
0.636 0.055 0.843
0.945 0.364 0.657
0.821 0.179 0.250
0.179 0.821 0.750
```

* total magnetic moment: 0.000 μB per atom
* calculated volume: 11.1 Å³/atom

*ii*
Here is an optimized crystal structure of KBe2B3O7 from the Materials Project. Energies are from PBE.

The structure in POSCAR format:
```
KBe2B3O7
1.0
-3.088 -2.204 2.262
-2.131 -3.647 -6.463
11.675 -12.858 3.406
Be B O K
8 12 28 4
direct
0.626 0.312 0.458
0.126 0.812 0.542
0.126 0.188 0.542
0.626 0.688 0.458
0.271 0.324 0.963
0.771 0.824 0.037
0.771 0.176 0.037
0.271 0.676 0.963
0.545 0.340 0.315
0.124 0.500 0.480
0.671 0.165 0.193
0.671 0.835 0.193
0.045 0.840 0.685
0.266 0.000 0.009
0.171 0.665 0.807
0.045 0.160 0.685
0.624 0.000 0.520
0.766 0.500 0.991
0.171 0.335 0.807
0.545 0.660 0.315
0.275 0.343 0.487
0.137 0.261 0.627
0.637 0.239 0.373
0.408 0.500 0.331
0.275 0.657 0.487
0.312 0.000 0.527
0.284 0.294 0.875
0.073 0.198 0.761
0.573 0.698 0.239
0.775 0.843 0.513
0.420 0.155 0.007
0.784 0.794 0.125
0.284 0.706 0.875
0.132 0.500 0.776
0.137 0.739 0.627
0.954 0.000 0.010
0.908 0.000 0.669
0.784 0.206 0.125
0.775 0.157 0.513
0.812 0.500 0.473
0.637 0.761 0.373
0.073 0.802 0.761
0.573 0.302 0.239
0.420 0.845 0.007
0.920 0.345 0.993
0.920 0.655 0.993
0.454 0.500 0.990
0.632 0.000 0.224
0.606 0.500 0.637
0.106 0.000 0.363
0.177 0.500 0.147
0.677 0.000 0.853
```

* total magnetic moment: 0.000 μB per atom
* calculated volume: 11.6 Å³/atom

Ordering by calculated energy gives the sequence *i*, *ii*, with the first entry being the most stable.

*i*
Here is an optimized crystal structure of LiBiB2O5 from the Materials Project. Energies are from PBE.

The structure in POSCAR format:
```
LiBiB2O5
1.0
-3.055 2.477 -0.137
-0.369 -0.762 -5.560
-11.067 -13.641 0.115
O B Li Bi
20 8 4 4
direct
0.403 0.996 0.633
0.949 0.299 0.297
0.517 0.115 0.226
0.737 0.167 0.035
0.263 0.833 0.965
0.455 0.435 0.609
0.449 0.701 0.203
0.983 0.115 0.726
0.545 0.565 0.391
0.017 0.885 0.274
0.955 0.565 0.891
0.483 0.885 0.774
0.903 0.004 0.867
0.045 0.435 0.109
0.551 0.299 0.797
0.051 0.701 0.703
0.597 0.004 0.367
0.097 0.996 0.133
0.237 0.833 0.465
0.763 0.167 0.535
0.957 0.213 0.093
0.224 0.924 0.714
0.776 0.076 0.286
0.543 0.213 0.593
0.457 0.787 0.407
0.043 0.787 0.907
0.724 0.076 0.786
0.276 0.924 0.214
0.743 0.604 0.288
0.757 0.604 0.788
0.243 0.396 0.212
0.257 0.396 0.712
0.146 0.248 0.416
0.854 0.752 0.584
0.646 0.752 0.084
0.354 0.248 0.916
```

* total magnetic moment: 0.000 μB per atom
* calculated volume: 10.7 Å³/atom

*ii*
Here is an optimized crystal structure of LiBiB2O5 from the Materials Project. Energies are from PBE.

The structure in POSCAR format:
```
LiBiB2O5
1.0
10.031 0.000 0.000
0.000 6.459 0.000
0.000 2.596 6.849
B Bi O Li
8 4 20 4
direct
0.093 0.763 0.541
0.355 0.227 0.889
0.145 0.727 0.889
0.907 0.237 0.459
0.855 0.273 0.111
0.593 0.737 0.459
0.645 0.773 0.111
0.407 0.263 0.541
0.951 0.769 0.232
0.451 0.731 0.768
0.049 0.231 0.768
0.549 0.269 0.232
0.646 0.712 0.639
0.180 0.734 0.698
0.456 0.759 0.439
0.956 0.741 0.561
0.458 0.369 0.901
0.854 0.212 0.639
0.790 0.405 0.957
0.210 0.595 0.043
0.542 0.631 0.099
0.290 0.095 0.043
0.958 0.131 0.099
0.320 0.234 0.698
0.354 0.288 0.361
0.820 0.266 0.302
0.544 0.241 0.561
0.680 0.766 0.302
0.710 0.905 0.957
0.042 0.869 0.901
0.146 0.788 0.361
0.044 0.259 0.439
0.804 0.716 0.777
0.696 0.216 0.777
0.196 0.284 0.223
0.304 0.784 0.223
```

* total magnetic moment: 0.000 μB per atom
* calculated volume: 12.3 Å³/atom

Ordering by calculated energy gives the sequence *i*, *ii*, with the first entry being the most stable.

*i*
Here is an optimized crystal structure of Mg14BiBO16 from the Materials Project. Energies are from PBE.

The structure in POSCAR format:
```
Mg14BiBO16
1.0
4.413 0.000 0.000
0.000 8.581 0.000
0.000 0.000 8.777
O Bi Mg B
16 1 14 1
direct
0.000 0.000 0.728
0.000 0.749 0.500
0.500 0.749 0.247
0.500 0.000 0.000
0.000 0.000 0.272
0.000 0.845 0.000
0.500 0.500 0.000
0.000 0.155 0.000
0.500 0.749 0.753
0.500 0.500 0.500
0.500 0.251 0.753
0.000 0.251 0.500
0.500 0.000 0.500
0.000 0.500 0.728
0.500 0.251 0.247
0.000 0.500 0.272
0.000 0.500 0.000
0.500 0.247 0.500
0.000 0.759 0.741
0.500 0.000 0.751
0.500 0.233 0.000
0.500 0.753 0.500
0.000 0.000 0.500
0.500 0.000 0.249
0.500 0.500 0.738
0.500 0.767 0.000
0.000 0.241 0.741
0.000 0.500 0.500
0.000 0.241 0.259
0.500 0.500 0.262
0.000 0.759 0.259
0.000 0.000 0.000
```

* total magnetic moment: 0.000 μB per atom
* calculated volume: 10.4 Å³/atom

*ii*
Here is an optimized crystal structure of Mg14BiBO16 from the Materials Project. Energies are from PBE.

The structure in POSCAR format:
```
Mg14BiBO16
1.0
8.731 0.000 0.000
0.000 8.731 0.000
0.000 0.000 4.373
O Mg Bi B
16 14 1 1
direct
0.235 0.500 0.000
0.749 0.749 0.500
0.765 0.500 0.000
0.000 0.500 0.500
0.500 0.235 0.000
0.500 0.500 0.500
0.000 0.735 0.000
0.500 0.765 0.000
0.500 0.000 0.500
0.251 0.749 0.500
0.000 0.265 0.000
0.749 0.251 0.500
0.265 0.000 0.000
0.735 0.000 0.000
0.000 0.000 0.500
0.251 0.251 0.500
0.237 0.763 0.000
0.000 0.243 0.500
0.500 0.233 0.500
0.000 0.500 0.000
0.757 0.000 0.500
0.237 0.237 0.000
0.500 0.767 0.500
0.000 0.757 0.500
0.500 0.000 0.000
0.243 0.000 0.500
0.763 0.237 0.000
0.233 0.500 0.500
0.767 0.500 0.500
0.763 0.763 0.000
0.500 0.500 0.000
0.000 0.000 0.000
```

* total magnetic moment: 0.000 μB per atom
* calculated volume: 10.4 Å³/atom

Ordering by calculated energy gives the sequence *i*, *ii*, with the first entry being the most stable.